A geometry-optimized Al2CdSi10O24 structure, computed with PBE.

Calculated values
**Crystal system**: triclinic
**VASP energy**: -7.600 eV/atom
**Formation energy from the elements**: -3142 meV/atom
**Calculated volume**: 1503.30 Å³ per cell

Lattice parameters (Å, degrees): 12.468 12.476 12.488 108.69 109.59 109.70
Space group P1 (No. 1)
Asymmetric unit:
Al: 0.000 0.000 0.000 (multiplicity 1)
Al: 0.003 0.704 0.294 (multiplicity 1)
Al: 0.306 0.556 0.554 (multiplicity 1)
Al: 0.437 0.556 0.995 (multiplicity 1)
Cd: 0.201 0.747 0.606 (multiplicity 1)
Cd: 0.916 0.828 0.124 (multiplicity 1)
Si: 0.006 0.253 0.158 (multiplicity 1)
Si: 0.010 0.857 0.555 (multiplicity 1)
Si: 0.153 0.553 0.296 (multiplicity 1)
Si: 0.154 0.253 0.403 (multiplicity 1)
Si: 0.156 0.997 0.851 (multiplicity 1)
Si: 0.166 0.106 0.556 (multiplicity 1)
Si: 0.248 0.101 0.252 (multiplicity 1)
Si: 0.254 0.956 0.399 (multiplicity 1)
Si: 0.306 0.252 0.850 (multiplicity 1)
Si: 0.401 0.798 0.398 (multiplicity 1)
Si: 0.402 0.107 0.102 (multiplicity 1)
Si: 0.435 0.716 0.852 (multiplicity 1)
Si: 0.549 0.805 0.252 (multiplicity 1)
Si: 0.552 0.962 0.108 (multiplicity 1)
Si: 0.557 0.265 0.010 (multiplicity 1)
Si: 0.563 0.716 0.563 (multiplicity 1)
Si: 0.694 0.568 0.144 (multiplicity 1)
Si: 0.698 0.859 0.860 (multiplicity 1)
Si: 0.708 0.715 0.404 (multiplicity 1)
Si: 0.713 0.118 0.019 (multiplicity 1)
O: 0.019 0.154 0.050 (multiplicity 1)
O: 0.023 0.219 0.279 (multiplicity 1)
O: 0.033 0.578 0.243 (multiplicity 1)
O: 0.037 0.950 0.878 (multiplicity 1)
O: 0.041 0.756 0.462 (multiplicity 1)
O: 0.042 0.986 0.539 (multiplicity 1)
O: 0.093 0.989 0.138 (multiplicity 1)
O: 0.097 0.846 0.292 (multiplicity 1)
O: 0.103 0.144 0.447 (multiplicity 1)
O: 0.114 0.886 0.701 (multiplicity 1)
O: 0.115 0.403 0.213 (multiplicity 1)
O: 0.195 0.137 0.854 (multiplicity 1)
O: 0.198 0.590 0.451 (multiplicity 1)
O: 0.225 0.397 0.520 (multiplicity 1)
O: 0.245 0.228 0.701 (multiplicity 1)
O: 0.254 0.227 0.351 (multiplicity 1)
O: 0.264 0.054 0.530 (multiplicity 1)
O: 0.282 0.648 0.297 (multiplicity 1)
O: 0.285 0.002 0.950 (multiplicity 1)
O: 0.310 0.035 0.331 (multiplicity 1)
O: 0.332 0.682 0.702 (multiplicity 1)
O: 0.336 0.887 0.445 (multiplicity 1)
O: 0.337 0.150 0.189 (multiplicity 1)
O: 0.344 0.393 0.950 (multiplicity 1)
O: 0.382 0.592 0.869 (multiplicity 1)
O: 0.433 0.228 0.878 (multiplicity 1)
O: 0.447 0.661 0.134 (multiplicity 1)
O: 0.447 0.846 0.957 (multiplicity 1)
O: 0.449 0.592 0.548 (multiplicity 1)
O: 0.476 0.854 0.329 (multiplicity 1)
O: 0.478 0.036 0.155 (multiplicity 1)
O: 0.504 0.235 0.108 (multiplicity 1)
O: 0.505 0.809 0.529 (multiplicity 1)
O: 0.580 0.755 0.864 (multiplicity 1)
O: 0.602 0.593 0.043 (multiplicity 1)
O: 0.606 0.910 0.206 (multiplicity 1)
O: 0.614 0.169 0.963 (multiplicity 1)
O: 0.619 0.667 0.467 (multiplicity 1)
O: 0.670 0.418 0.085 (multiplicity 1)
O: 0.680 0.817 0.359 (multiplicity 1)
O: 0.681 0.064 0.114 (multiplicity 1)
O: 0.684 0.807 0.716 (multiplicity 1)
O: 0.688 0.597 0.280 (multiplicity 1)
O: 0.698 0.998 0.900 (multiplicity 1)
O: 0.840 0.880 0.964 (multiplicity 1)
O: 0.847 0.673 0.186 (multiplicity 1)
O: 0.860 0.788 0.521 (multiplicity 1)
O: 0.861 0.240 0.100 (multiplicity 1)

A geometry-optimized Li5CrCl8 structure, computed with PBE.

Calculated values
**Crystal system**: orthorhombic
**VASP energy**: -4.047 eV/atom
**Formation energy from the elements**: -1970 meV/atom
**Calculated volume**: 549.31 Å³ per cell

Lattice parameters (Å, degrees): 7.329 10.273 7.296 90.00 90.00 90.00
Space group Cmmm (No. 65)
Asymmetric unit:
Li: 0.000 0.000 0.000 (multiplicity 2)
Li: 0.250 0.250 0.233 (multiplicity 8)
Cr: 0.000 0.000 0.500 (multiplicity 2)
Cl: 0.000 0.231 0.500 (multiplicity 4)
Cl: 0.000 0.247 0.000 (multiplicity 4)
Cl: 0.228 0.000 0.270 (multiplicity 8)

A geometry-optimized CrN2 structure, computed with PBE.

Calculated values
**Crystal system**: triclinic
**VASP energy**: -8.620 eV/atom
**Formation energy from the elements**: -86 meV/atom
**Calculated volume**: 1194.44 Å³ per cell

Lattice parameters (Å, degrees): 7.992 12.432 12.581 105.04 94.22 95.80
Space group P-1 (No. 2)
Asymmetric unit:
Cr: 0.043 0.239 0.067 (multiplicity 2)
Cr: 0.075 0.540 0.742 (multiplicity 2)
Cr: 0.221 0.414 0.930 (multiplicity 2)
Cr: 0.304 0.559 0.375 (multiplicity 2)
Cr: 0.331 0.867 0.059 (multiplicity 2)
Cr: 0.388 0.639 0.144 (multiplicity 2)
Cr: 0.409 0.143 0.143 (multiplicity 2)
Cr: 0.430 0.638 0.641 (multiplicity 2)
N: 0.018 0.664 0.822 (multiplicity 2)
N: 0.089 0.520 0.362 (multiplicity 2)
N: 0.106 0.453 0.825 (multiplicity 2)
N: 0.109 0.308 0.974 (multiplicity 2)
N: 0.128 0.859 0.994 (multiplicity 2)
N: 0.215 0.180 0.115 (multiplicity 2)
N: 0.264 0.574 0.692 (multiplicity 2)
N: 0.273 0.529 0.040 (multiplicity 2)
N: 0.335 0.766 0.132 (multiplicity 2)
N: 0.358 0.623 0.273 (multiplicity 2)
N: 0.375 0.643 0.508 (multiplicity 2)
N: 0.392 0.000 0.140 (multiplicity 2)
N: 0.402 0.368 0.878 (multiplicity 2)
N: 0.403 0.440 0.357 (multiplicity 2)
N: 0.466 0.837 0.958 (multiplicity 2)
N: 0.495 0.768 0.734 (multiplicity 2)

A geometry-optimized BaSr4Ti5O15 structure, computed with PBE.

Calculated values
**Crystal system**: tetragonal
**VASP energy**: -8.017 eV/atom
**Formation energy from the elements**: -3535 meV/atom
**Calculated volume**: 309.64 Å³ per cell

Lattice parameters (Å, degrees): 3.957 3.957 19.777 90.00 90.00 90.00
Space group P4/mmm (No. 123)
Asymmetric unit:
Ba: 0.000 0.000 0.000 (multiplicity 1)
Sr: 0.000 0.000 0.201 (multiplicity 2)
Sr: 0.000 0.000 0.400 (multiplicity 2)
Ti: 0.500 0.500 0.103 (multiplicity 2)
Ti: 0.500 0.500 0.300 (multiplicity 2)
Ti: 0.500 0.500 0.500 (multiplicity 1)
O: 0.000 0.500 0.104 (multiplicity 4)
O: 0.000 0.500 0.300 (multiplicity 4)
O: 0.000 0.500 0.500 (multiplicity 2)
O: 0.500 0.500 0.000 (multiplicity 1)
O: 0.500 0.500 0.201 (multiplicity 2)
O: 0.500 0.500 0.400 (multiplicity 2)

A geometry-optimized SmBiPd structure, computed with PBE.

Calculated values
**Crystal system**: cubic
**VASP energy**: -5.546 eV/atom
**Formation energy from the elements**: -950 meV/atom
**Calculated volume**: 316.75 Å³ per cell

Lattice parameters (Å, degrees): 6.817 6.817 6.817 90.00 90.00 90.00
Space group F-43m (No. 216)
Asymmetric unit:
Sm: 0.000 0.000 0.000 (multiplicity 4)
Bi: 0.000 0.000 0.500 (multiplicity 4)
Pd: 0.250 0.250 0.250 (multiplicity 4)

A geometry-optimized Rb2Gd4Cu4S9 structure, computed with PBE.

Calculated values
**Crystal system**: monoclinic
**Energy relative to the lowest polymorph listed for this composition**: 0.010 eV/atom
**VASP energy**: -7.295 eV/atom
**Formation energy from the elements**: -1644 meV/atom
**Calculated volume**: 874.22 Å³ per cell

Lattice parameters (Å, degrees): 14.065 4.082 16.165 90.00 109.60 90.00
Space group C2/m (No. 12)
Asymmetric unit:
Rb: 0.027 0.000 0.270 (multiplicity 4)
Gd: 0.154 0.500 0.554 (multiplicity 4)
Gd: 0.233 0.000 0.104 (multiplicity 4)
Cu: 0.066 0.500 0.959 (multiplicity 4)
Cu: 0.249 0.000 0.728 (multiplicity 4)
S: 0.000 0.000 0.500 (multiplicity 2)
S: 0.108 0.500 0.123 (multiplicity 4)
S: 0.141 0.000 0.926 (multiplicity 4)
S: 0.158 0.500 0.722 (multiplicity 4)
S: 0.205 0.500 0.399 (multiplicity 4)